[1]
An optimized crystal structure of Ce2Si2Ni15, computed with GGA-PBE.

The structure in POSCAR format:
```
Ce2Si2Ni15
1.0
4.148 -7.185 0.000
4.148 7.185 0.000
0.000 0.000 8.245
Ni Si Ce
30 4 4
Cartesian
2.074 3.592 4.122
2.929 4.569 2.061
4.148 4.776 8.109
2.929 -4.569 6.184
4.148 4.776 4.258
4.148 0.000 4.122
4.148 -4.776 0.136
1.656 -2.363 6.184
5.421 -0.252 6.184
2.875 0.252 2.061
2.074 -3.592 4.122
2.074 3.592 0.000
6.640 2.363 2.061
6.640 -2.363 6.184
1.656 2.363 2.061
6.210 1.204 4.258
6.210 -1.204 0.136
4.148 0.000 0.000
2.086 1.204 8.109
4.148 -4.776 3.987
5.367 -4.569 6.184
2.875 -0.252 6.184
6.210 -1.204 3.987
2.086 1.204 4.258
2.074 -3.592 0.000
2.086 -1.204 3.987
6.210 1.204 8.109
5.367 4.569 2.061
2.086 -1.204 0.136
5.421 0.252 2.061
4.148 -2.395 4.981
4.148 2.395 3.264
4.148 2.395 0.859
4.148 -2.395 7.386
0.000 0.000 2.061
0.000 0.000 6.184
4.148 -2.395 2.061
4.148 2.395 6.184
```

Properties
For the volume, the calculation gives 12.93 Å³ per atom. As for the symmetry: P6_3/mmc. The value obtained for the energy of formation is -26.9 kJ/mol of atoms.

[2]
An optimized crystal structure of BaSb2Pd2, computed with GGA-PBE.

The structure in POSCAR format:
```
BaSb2Pd2
1.0
-0.447 -2.640 -3.992
-3.555 -2.500 2.052
-7.248 7.113 -3.892
Pd Sb Ba
4 4 2
Cartesian
-2.959 1.364 -3.464
0.000 0.000 0.000
-6.291 3.179 -1.398
-2.001 -2.570 -0.970
-8.126 4.979 -2.383
-1.124 -0.437 -2.479
-5.625 0.986 -2.916
-3.624 3.556 -1.946
-3.547 0.486 0.076
-5.703 4.057 -4.938
```

Properties
For the volume, the calculation gives 25.12 Å³ per atom. As for the symmetry: P4/nmm. The value obtained for the energy of formation is -77.5 kJ/mol of atoms.

[3]
An optimized crystal structure of SmTmS2, computed with GGA-PBE.

The structure in POSCAR format:
```
SmTmS2
1.0
-6.864 -0.833 -0.613
-5.745 -3.169 2.267
-6.263 0.612 2.931
S Tm Sm
2 1 1
Cartesian
-14.265 -2.562 3.466
-4.607 -0.828 1.119
-9.436 -1.695 2.292
0.000 0.000 0.000
```

Properties
For the volume, the calculation gives 21.36 Å³ per atom. As for the symmetry: R-3m. The value obtained for the energy of formation is -215.2 kJ/mol of atoms.

[4]
An optimized crystal structure of Na3P11, computed with GGA-PBE.

The structure in POSCAR format:
```
Na3P11
1.0
-0.479 9.761 1.665
0.192 -1.779 10.480
12.600 0.640 -0.122
P Na
44 12
Cartesian
9.799 6.277 1.642
2.513 2.345 10.381
11.244 0.195 7.200
4.867 0.849 1.331
12.468 4.185 8.571
-0.155 4.438 3.452
10.372 9.175 6.858
7.446 7.773 10.693
10.873 8.031 9.970
1.335 3.042 7.160
1.440 0.591 2.054
4.404 3.118 11.137
9.967 3.618 5.068
3.359 8.818 2.191
10.977 5.581 4.863
3.323 1.617 2.774
8.505 8.185 7.383
7.795 0.103 6.544
7.583 4.103 2.537
7.908 5.505 0.887
4.787 3.067 7.805
6.384 -0.123 2.559
4.730 4.519 9.486
2.745 5.541 9.116
2.924 1.850 8.213
9.389 6.772 3.810
8.023 4.196 5.860
9.280 1.025 7.957
1.306 4.196 10.198
3.032 7.597 4.066
1.391 9.613 1.703
2.345 5.005 6.956
4.289 4.427 6.163
3.808 0.437 4.641
10.922 -0.991 10.320
1.069 8.427 4.824
6.408 -1.016 7.800
1.941 -0.553 5.166
8.989 7.006 9.250
9.567 3.082 2.908
4.517 8.519 5.480
11.007 4.427 1.825
8.954 -0.196 9.832
7.526 5.555 4.218
6.355 2.044 4.788
0.058 1.663 4.839
12.563 1.404 9.959
3.309 -1.173 7.830
9.369 4.027 8.601
6.052 7.477 1.993
6.260 1.145 10.030
5.957 6.578 7.235
12.254 6.959 7.185
2.943 4.595 3.422
9.483 0.034 2.529
-0.251 7.218 2.065
```

Properties
For the volume, the calculation gives 23.75 Å³ per atom. As for the symmetry: Pbcn. The value obtained for the energy of formation is -22.9 kJ/mol of atoms.

[5]
An optimized crystal structure of TaP4S5Cl5, computed with GGA-PBE.

The structure in POSCAR format:
```
TaP4S5Cl5
1.0
-12.694 3.035 4.761
2.364 -0.866 6.855
5.869 17.177 4.699
S P Ta Cl
20 16 4 20
Cartesian
-3.838 6.040 3.544
-2.093 5.288 6.363
-6.399 14.528 10.141
-5.540 5.033 6.369
-8.249 5.838 12.181
1.938 4.817 6.174
-5.107 3.092 3.562
0.646 16.253 12.753
4.085 13.101 7.496
-2.368 14.057 9.951
-0.623 13.305 12.771
3.473 10.331 3.794
-8.546 6.244 8.819
-7.934 9.014 12.521
-1.090 16.990 9.929
-8.245 9.411 9.162
3.784 9.934 7.153
3.788 13.507 4.134
-3.371 2.354 6.386
1.079 14.312 9.946
-7.004 8.634 10.670
-1.287 16.557 11.976
-5.603 5.066 4.235
-2.258 14.435 12.032
-7.165 6.318 10.423
-0.714 15.069 9.072
-9.801 7.952 9.030
-2.203 4.910 4.282
2.704 13.027 5.892
-3.747 4.276 7.243
1.142 14.279 12.080
3.218 4.493 7.851
-3.174 2.788 4.339
2.543 10.711 5.645
-7.679 14.852 8.464
5.340 11.393 7.285
-2.818 18.473 13.386
-1.643 0.872 2.929
-0.130 9.800 5.811
-4.331 9.545 10.503
0.064 2.195 3.852
0.388 1.652 8.145
-10.012 2.706 9.882
2.142 17.133 7.056
-5.164 10.954 8.843
-8.606 2.487 6.684
-6.549 8.809 5.357
5.551 16.639 6.433
-4.849 17.693 8.169
4.145 16.858 9.631
2.088 10.536 10.958
-4.525 17.150 12.463
-0.167 11.540 7.389
-5.003 11.120 12.108
-4.294 7.805 8.926
-2.133 10.112 10.377
-6.603 2.212 9.258
0.542 8.225 4.207
0.703 8.391 7.472
-2.328 9.232 5.938
```

Properties
For the volume, the calculation gives 30.87 Å³ per atom. As for the symmetry: P2_1/c. The value obtained for the energy of formation is -97.6 kJ/mol of atoms.

[6]
An optimized crystal structure of SeN2Cl6, computed with GGA-PBE.

The structure in POSCAR format:
```
SeN2Cl6
1.0
0.000 4.936 4.936
4.936 0.000 4.936
4.936 4.936 0.000
Cl N Se
6 2 1
Cartesian
2.314 4.936 4.936
4.936 7.558 4.936
4.936 2.314 4.936
4.936 4.936 7.558
7.558 4.936 4.936
4.936 4.936 2.314
2.468 2.468 2.468
7.404 7.404 7.404
0.000 0.000 0.000
```

Properties
For the volume, the calculation gives 26.73 Å³ per atom. As for the symmetry: Fm-3m. The value obtained for the energy of formation is 74.3 kJ/mol of atoms.

[7]
An optimized crystal structure of Sb16Cl4O21, computed with GGA-PBE.

The structure in POSCAR format:
```
Sb16Cl4O21
1.0
-4.338 5.212 -4.846
5.569 -5.009 -6.645
-8.587 -5.642 2.019
Sb O Cl
16 21 4
Cartesian
-7.597 -6.298 0.697
-0.943 -0.449 -6.080
-2.400 -6.295 -3.552
-9.257 -0.213 -2.406
0.832 -2.839 -4.016
-0.336 -2.617 -9.511
-4.865 0.561 -5.717
-7.129 -2.887 0.007
-9.593 -3.628 -1.534
-6.022 -5.206 -3.047
-4.636 -3.370 -6.174
2.437 -1.908 -7.703
1.869 -5.238 -7.143
-8.535 -2.338 -5.814
0.285 0.674 -10.147
-2.788 -1.754 -3.553
-6.652 -7.038 -1.023
1.470 -1.022 -6.034
-2.780 -7.549 -5.022
-0.551 1.516 -8.476
0.014 -3.296 -2.266
-6.665 -2.503 -6.811
-2.851 -0.298 -5.090
-10.464 -1.796 -2.991
1.135 -3.401 -8.100
-8.881 -4.355 -3.338
0.815 -1.041 -8.863
-2.436 -0.518 -2.058
-0.671 -1.446 -4.280
2.981 -3.656 -6.441
-5.159 -4.696 -4.745
-6.430 -4.683 0.947
-1.003 -0.827 -10.573
-8.548 -1.884 -1.398
-4.513 -6.585 -2.769
-4.644 1.970 -4.358
-4.915 -4.759 -7.542
-5.444 -1.340 -3.302
-1.872 -4.122 -6.063
-3.329 -3.890 -1.027
-4.086 -1.497 -8.604
```

Properties
For the volume, the calculation gives 19.66 Å³ per atom. As for the symmetry: P1. The value obtained for the energy of formation is -151.9 kJ/mol of atoms.

[8]
An optimized crystal structure of PH18PtC6S3BrF6, computed with GGA-PBE.

The structure in POSCAR format:
```
PH18PtC6S3BrF6
1.0
25.031 0.000 0.000
0.000 8.722 0.000
0.000 2.225 8.688
H F C S P Br Pt
72 24 24 12 4 4 4
Cartesian
11.362 2.408 7.331
7.239 3.198 5.096
4.993 9.078 1.573
7.370 6.133 6.052
20.523 1.170 1.113
10.602 8.092 4.865
24.917 10.530 7.370
17.662 4.814 2.636
3.497 1.343 1.664
6.543 3.340 3.425
0.658 4.185 1.459
20.349 8.104 1.272
17.024 5.531 1.113
7.523 4.717 1.573
21.643 2.690 6.970
24.708 4.707 2.869
0.323 6.240 5.819
14.429 2.855 3.823
20.039 1.869 7.115
16.144 3.215 4.224
4.426 6.817 3.692
24.144 1.640 0.432
11.857 8.546 1.459
21.804 6.617 2.748
11.629 4.946 8.256
23.118 7.216 3.823
4.682 2.843 7.416
9.127 3.896 1.718
8.007 5.416 7.575
11.627 6.247 0.636
9.018 5.704 1.664
0.887 9.307 8.256
3.629 3.370 4.464
23.877 4.178 1.357
24.143 9.061 8.052
5.146 1.772 6.052
12.629 6.169 7.370
12.402 4.777 1.318
5.973 7.701 3.425
16.013 5.243 7.024
7.833 7.203 7.416
21.402 7.576 4.224
3.227 4.330 5.940
24.373 6.762 7.229
15.742 2.256 2.748
1.914 3.731 4.865
19.885 9.174 2.636
3.388 8.257 1.718
0.888 1.886 0.636
17.508 6.230 7.115
13.402 6.001 0.432
9.289 8.691 5.940
12.192 1.879 5.819
20.606 4.129 4.996
21.534 9.604 7.024
0.114 0.417 1.318
8.090 2.456 3.692
13.669 8.539 1.357
19.755 3.388 3.592
13.404 4.700 8.052
12.839 9.068 2.869
17.198 3.743 1.272
18.488 7.607 5.263
8.887 7.731 4.464
13.174 2.401 7.229
4.509 9.777 7.575
16.941 8.490 4.996
15.904 7.051 6.970
17.792 7.749 3.592
5.276 7.559 5.096
1.154 6.769 7.331
19.058 3.246 5.263
7.355 1.157 0.665
20.629 4.092 1.352
22.144 5.441 8.510
17.676 9.789 8.023
16.918 8.453 1.352
2.887 5.505 0.178
15.402 9.802 8.510
21.300 6.851 6.861
4.402 6.855 7.335
19.871 5.428 8.023
5.160 5.518 0.665
17.758 3.358 8.395
3.731 4.096 1.827
16.246 2.490 6.861
19.788 7.719 8.395
7.273 7.589 0.293
22.066 5.506 0.184
15.481 1.145 0.184
9.550 9.801 8.504
8.785 8.457 1.827
5.243 3.228 0.293
2.965 5.440 8.504
9.629 1.144 0.178
8.114 2.494 7.335
7.458 3.290 4.024
12.539 5.840 1.089
12.492 5.107 7.599
4.453 1.909 6.889
3.981 9.136 1.989
12.237 2.548 6.683
20.578 9.037 1.799
0.023 9.468 7.599
8.062 6.270 6.889
16.969 4.676 1.799
8.534 4.775 1.989
19.974 3.296 4.664
21.050 1.810 6.699
0.279 6.909 6.683
5.057 7.651 4.024
17.573 7.657 4.664
16.497 6.171 6.699
15.421 3.069 3.411
12.794 8.399 2.005
24.753 4.038 2.005
22.125 7.430 3.411
25.008 1.479 1.089
2.906 3.517 5.277
9.610 7.877 5.277
9.766 6.401 6.310
22.282 8.906 2.378
12.707 6.715 2.655
4.197 9.221 3.777
24.839 2.354 2.655
16.712 6.087 4.910
12.324 4.232 6.033
2.750 2.041 6.310
20.835 1.726 4.910
0.192 8.593 6.033
15.265 4.545 2.378
8.319 4.860 3.777
8.437 8.729 0.243
16.594 2.217 8.445
4.079 4.368 0.243
20.952 6.578 8.445
11.085 2.843 3.411
1.431 7.204 3.411
23.600 3.743 5.276
13.946 8.104 5.276
22.831 1.948 3.754
2.200 8.999 4.934
10.315 4.638 4.934
14.716 6.309 3.754
```

Properties
For the volume, the calculation gives 13.17 Å³ per atom. As for the symmetry: P2_1/c. The value obtained for the energy of formation is -78.0 kJ/mol of atoms.

[9]
An optimized crystal structure of U6Si11O, computed with GGA-PBE.

The structure in POSCAR format:
```
U6Si11O
1.0
0.470 3.402 -6.037
-5.957 -3.090 1.790
-2.286 6.391 3.424
Si U O
11 6 1
Cartesian
-4.958 2.270 0.893
-3.706 0.211 -2.868
0.153 1.105 -1.960
-0.985 4.336 -0.311
-2.815 4.434 -1.716
-1.934 -1.003 0.581
-3.815 -0.926 -0.819
-3.139 2.160 2.312
-1.672 1.238 -3.428
-1.143 3.195 1.712
-4.791 3.403 -1.111
-0.252 3.867 -3.199
-2.374 1.689 -0.549
-3.526 4.908 1.176
-1.404 7.087 -1.474
-4.562 -0.486 2.050
-5.714 2.733 3.775
0.000 0.000 0.000
```

Properties
For the volume, the calculation gives 17.64 Å³ per atom. As for the symmetry: P-62m. The value obtained for the energy of formation is -37.3 kJ/mol of atoms.